[1]
Computed, not measured: crystalline LiAgF4 at its relaxed geometry at the PBE level of DFT.

Cell lengths 7.8135, 5.2161, 7.7900 Å; angles 90.00, 102.59, 90.00 degrees
Space group P2_1/c (No. 14)
Symmetry-distinct sites (fractional):
Li: 0.1447 0.2451 0.3294 [4 per cell]
Ag: 0.3114 0.7452 0.1757 [4 per cell]
F: 0.0780 0.5734 0.6937 [4 per cell]
F: 0.1901 0.0878 0.5749 [4 per cell]
F: 0.3041 0.5783 0.4255 [4 per cell]
F: 0.4440 0.0587 0.3004 [4 per cell]

Output
The calculated formation energy is -185.2 kJ per mole of atoms.

[2]
Computed, not measured: crystalline SmB4Os4 at its relaxed geometry at the PBE level of DFT.

Cell lengths 7.5944, 7.5944, 4.0188 Å; angles 90.00, 90.00, 90.00 degrees
Space group P4_2/n (No. 86, origin choice 2)
Symmetry-distinct sites (fractional):
Sm: 0.2500 0.2500 0.2500 [2 per cell]
B: 0.0329 0.5850 0.1379 [8 per cell]
Os: 0.1040 0.8571 0.1369 [8 per cell]

Output
The calculated formation energy is -37.2 kJ per mole of atoms.

[3]
Computed, not measured: crystalline Gd2ZnGa at its relaxed geometry at the PBE level of DFT.

Cell lengths 7.2392, 7.2392, 7.2392 Å; angles 90.00, 90.00, 90.00 degrees
Space group Fm-3m (No. 225)
Symmetry-distinct sites (fractional):
Gd: 0.2500 0.2500 0.2500 [8 per cell]
Zn: 0.0000 0.0000 0.0000 [4 per cell]
Ga: 0.0000 0.0000 0.5000 [4 per cell]

Output
The calculated formation energy is -48.2 kJ per mole of atoms.

[4]
Computed, not measured: crystalline LiInSe2 at its relaxed geometry at the PBE level of DFT.

Cell lengths 6.0388, 6.0388, 11.9501 Å; angles 90.00, 90.00, 90.00 degrees
Space group I-42d (No. 122)
Symmetry-distinct sites (fractional):
Li: 0.0000 0.0000 0.0000 [4 per cell]
In: 0.0000 0.0000 0.5000 [4 per cell]
Se: 0.2427 0.7500 0.1250 [8 per cell]

Output
The calculated formation energy is -106.8 kJ per mole of atoms. The calculation puts the largest piezoelectric modulus at 0.1 C/m².

[5]
Computed, not measured: crystalline SmSi2Ru3 at its relaxed geometry at the PBE level of DFT.

Cell lengths 5.6191, 5.6191, 3.6178 Å; angles 90.00, 90.00, 120.00 degrees
Space group P6/mmm (No. 191)
Symmetry-distinct sites (fractional):
Sm: 0.0000 0.0000 0.0000 [1 per cell]
Si: 0.3333 0.6667 0.0000 [2 per cell]
Ru: 0.0000 0.5000 0.5000 [3 per cell]

Output
The calculated formation energy is -63.5 kJ per mole of atoms.

[6]
Computed, not measured: crystalline LiH2SNO3 at its relaxed geometry at the PBE level of DFT.

Cell lengths 16.9578, 5.1842, 8.6025 Å; angles 90.00, 90.00, 90.00 degrees
Space group Pca2_1 (No. 29)
Symmetry-distinct sites (fractional):
Li: 0.0971 0.0505 0.0000 [4 per cell]
Li: 0.1523 0.5414 0.1964 [4 per cell]
H: 0.0145 0.3608 0.2899 [4 per cell]
H: 0.1146 0.6130 0.6181 [4 per cell]
H: 0.1160 0.2992 0.6609 [4 per cell]
H: 0.2022 0.0142 0.4484 [4 per cell]
S: 0.0846 0.0148 0.3624 [4 per cell]
S: 0.1699 0.5499 0.8462 [4 per cell]
N: 0.1054 0.4818 0.7063 [4 per cell]
N: 0.1456 0.0023 0.4913 [4 per cell]
O: 0.0072 0.9355 0.4172 [4 per cell]
O: 0.0707 0.3240 0.3113 [4 per cell]
O: 0.1076 0.8967 0.2112 [4 per cell]
O: 0.1446 0.3940 0.9819 [4 per cell]
O: 0.1604 0.8258 0.8750 [4 per cell]
O: 0.2502 0.4802 0.2972 [4 per cell]

Output
The calculated formation energy is -129.6 kJ per mole of atoms.

Please write out number 4 again, unchanged.
Computed, not measured: crystalline LiInSe2 at its relaxed geometry at the PBE level of DFT.

Cell lengths 6.0388, 6.0388, 11.9501 Å; angles 90.00, 90.00, 90.00 degrees
Space group I-42d (No. 122)
Symmetry-distinct sites (fractional):
Li: 0.0000 0.0000 0.0000 [4 per cell]
In: 0.0000 0.0000 0.5000 [4 per cell]
Se: 0.2427 0.7500 0.1250 [8 per cell]

Output
The calculated formation energy is -106.8 kJ per mole of atoms. The calculation puts the largest piezoelectric modulus at 0.1 C/m².

Question: Among the records above, which one has the highest calculated formation energy?
Answer: SmB4Os4